## one
Density functional theory data (PBE-GGA) for Ge7H18O23 after structural relaxation.

The structure in POSCAR format:
```
Ge7H18O23
1.0
7.777 0.000 0.000
0.081 7.859 0.000
0.024 0.116 8.011
O H Ge
23 18 7
direct
0.875 0.375 0.863
0.121 0.120 0.885
0.671 0.690 0.626
0.468 0.022 0.460
0.632 0.877 0.138
0.353 0.340 0.686
0.375 0.138 0.122
0.877 0.133 0.620
0.622 0.354 0.358
0.147 0.866 0.633
0.636 0.133 0.867
0.129 0.876 0.112
0.000 0.544 0.466
0.900 0.885 0.884
0.899 0.104 0.128
0.157 0.105 0.374
0.384 0.871 0.871
0.865 0.630 0.118
0.118 0.371 0.148
0.897 0.848 0.375
0.319 0.700 0.290
0.151 0.620 0.881
0.458 0.516 0.049
0.275 0.265 0.748
0.378 0.615 0.215
0.918 0.723 0.415
0.729 0.329 0.301
0.581 0.243 0.398
0.607 0.585 0.633
0.271 0.576 0.893
0.267 0.639 0.385
0.482 0.968 0.571
0.022 0.459 0.381
0.707 0.715 0.739
0.470 0.397 0.087
0.575 0.561 0.044
0.210 0.794 0.193
0.285 0.075 0.411
0.509 0.937 0.381
0.942 0.487 0.559
0.467 0.291 0.708
0.995 0.491 0.004
0.141 0.140 0.128
0.151 0.874 0.859
0.508 0.005 0.999
0.009 0.992 0.513
0.869 0.140 0.852
0.865 0.864 0.125
```

## two
Density functional theory data (PBE-GGA) for Ge7H18O23 after structural relaxation.

The structure in POSCAR format:
```
Ge7H18O23
1.0
-5.998 2.607 4.237
-3.842 -6.792 -0.579
3.476 -2.575 6.595
O H Ge
23 18 7
direct
0.875 0.382 0.889
0.197 0.564 0.454
0.892 0.114 0.120
0.137 0.125 0.891
0.666 0.335 0.282
0.661 0.841 0.109
0.881 0.451 0.510
0.639 0.138 0.872
0.880 0.878 0.378
0.402 0.089 0.161
0.167 0.884 0.616
0.633 0.682 0.598
0.917 0.891 0.871
0.459 0.960 0.458
0.177 0.365 0.123
0.399 0.866 0.860
0.160 0.621 0.858
0.589 0.522 0.043
0.924 0.628 0.143
0.139 0.142 0.371
0.417 0.441 0.698
0.893 0.155 0.632
0.141 0.883 0.114
0.685 0.477 0.968
0.538 0.857 0.471
0.204 0.568 0.331
0.353 0.427 0.592
0.268 0.557 0.817
0.752 0.391 0.356
0.438 0.008 0.332
0.658 0.752 0.696
0.549 0.598 0.642
0.347 0.940 0.523
0.616 0.645 0.071
0.616 0.438 0.163
0.893 0.286 0.589
0.469 0.330 0.735
0.188 0.683 0.498
0.804 0.545 0.558
0.737 0.241 0.225
0.996 0.498 0.482
0.525 0.989 0.995
0.164 0.132 0.140
0.032 0.491 0.003
0.878 0.140 0.879
0.014 0.007 0.492
0.164 0.881 0.860
0.896 0.862 0.142
```

## three
Density functional theory data (PBE-GGA) for Ge7H18O23 after structural relaxation.

The structure in POSCAR format:
```
Ge7H18O23
1.0
-6.472 3.426 1.909
-3.997 -4.310 -5.473
-1.616 -5.695 5.476
O H Ge
23 18 7
direct
0.870 0.116 0.601
0.677 0.137 0.898
0.392 0.153 0.090
0.522 0.943 0.516
0.100 0.107 0.881
0.623 0.328 0.382
0.252 0.346 0.613
0.146 0.896 0.119
0.474 0.435 0.985
0.923 0.504 0.461
0.183 0.622 0.902
0.886 0.396 0.855
0.388 0.889 0.851
0.290 0.683 0.385
0.167 0.107 0.369
0.903 0.834 0.916
0.624 0.865 0.139
0.127 0.354 0.133
0.887 0.847 0.372
0.701 0.668 0.675
0.899 0.610 0.162
0.129 0.852 0.634
0.883 0.101 0.168
0.274 0.746 0.281
0.924 0.567 0.287
0.730 0.381 0.424
0.257 0.263 0.703
0.802 0.158 0.090
0.426 0.283 0.042
0.764 0.723 0.764
0.299 0.286 0.517
0.630 0.758 0.623
0.034 0.463 0.511
0.568 0.436 0.900
0.674 0.240 0.313
0.219 0.783 0.569
0.858 0.577 0.543
0.589 0.044 0.535
0.396 0.613 0.370
0.538 0.923 0.397
0.378 0.511 0.946
0.022 0.495 0.001
0.014 0.986 0.482
0.890 0.178 0.807
0.144 0.130 0.144
0.868 0.851 0.146
0.523 0.991 0.987
0.149 0.853 0.884
```

Which is the most stable structure? two is the most stable.

## one
Density functional theory data (PBE-GGA) for Ge7H18O23 after structural relaxation.

The structure in POSCAR format:
```
Ge7H18O23
1.0
7.714 0.000 0.000
-0.396 7.823 0.000
-0.071 -0.047 7.836
O H Ge
23 18 7
direct
0.860 0.615 0.144
0.467 0.491 0.952
0.066 0.459 0.520
0.603 0.099 0.834
0.358 0.694 0.417
0.346 0.857 0.866
0.616 0.413 0.296
0.107 0.113 0.873
0.090 0.893 0.131
0.855 0.138 0.619
0.373 0.132 0.130
0.846 0.368 0.865
0.107 0.865 0.611
0.685 0.605 0.595
0.523 0.977 0.526
0.103 0.627 0.864
0.108 0.154 0.371
0.143 0.375 0.116
0.602 0.843 0.112
0.353 0.380 0.682
0.864 0.873 0.879
0.819 0.885 0.372
0.862 0.119 0.102
0.552 0.013 0.652
0.237 0.421 0.643
0.710 0.636 0.713
0.961 0.473 0.589
0.558 0.312 0.242
0.106 0.573 0.480
0.762 0.542 0.197
0.335 0.257 0.704
0.361 0.712 0.294
0.737 0.699 0.527
0.372 0.453 0.031
0.084 0.274 0.408
0.441 0.871 0.508
0.411 0.445 0.809
0.653 0.380 0.410
0.483 0.616 0.965
0.445 0.609 0.440
0.633 0.956 0.461
0.841 0.874 0.130
0.845 0.134 0.854
0.480 0.990 0.995
0.989 0.488 0.997
0.110 0.859 0.849
0.131 0.136 0.117
0.976 0.000 0.500
```

## two
Density functional theory data (PBE-GGA) for Ge7H18O23 after structural relaxation.

The structure in POSCAR format:
```
Ge7H18O23
1.0
-1.927 0.590 7.399
6.462 -3.839 1.954
3.974 6.881 0.338
H O Ge
18 23 7
direct
0.671 0.562 0.692
0.623 0.282 0.273
0.042 0.429 0.531
0.363 0.376 0.583
0.429 0.613 0.361
0.476 0.429 0.032
0.453 0.269 0.736
0.347 0.775 0.454
0.737 0.442 0.314
0.532 0.005 0.390
0.566 0.962 0.582
0.275 0.604 0.920
0.031 0.634 0.569
0.202 0.598 0.423
0.403 0.157 0.562
0.549 0.622 0.031
0.787 0.216 0.553
0.524 0.693 0.723
0.114 0.131 0.880
0.653 0.362 0.364
0.139 0.138 0.378
0.109 0.858 0.626
0.875 0.387 0.855
0.139 0.380 0.140
0.477 0.001 0.501
0.321 0.677 0.377
0.388 0.143 0.134
0.620 0.147 0.858
0.854 0.878 0.364
0.120 0.895 0.112
0.469 0.540 0.974
0.149 0.631 0.882
0.059 0.544 0.485
0.879 0.128 0.116
0.575 0.624 0.634
0.865 0.629 0.128
0.881 0.892 0.880
0.865 0.139 0.617
0.621 0.863 0.117
0.365 0.265 0.641
0.372 0.885 0.849
0.499 0.008 0.994
0.133 0.888 0.861
0.999 0.498 0.009
0.863 0.868 0.131
0.863 0.150 0.877
0.144 0.144 0.143
0.001 0.997 0.485
```

Which is the most stable structure? one is the most stable.

## one
Density functional theory data (PBE-GGA) for In2Ge2O7 after structural relaxation.

The structure in POSCAR format:
```
In2Ge2O7
1.0
-1.470 -3.828 2.878
-5.061 1.414 -1.981
-1.114 -3.638 -4.131
O In Ge
7 2 2
direct
0.274 0.590 0.410
0.211 0.074 0.596
0.211 0.404 0.926
0.789 0.596 0.074
0.726 0.410 0.590
0.500 0.000 0.000
0.789 0.926 0.404
0.000 0.692 0.692
0.000 0.308 0.308
0.595 0.767 0.233
0.405 0.233 0.767
```

## two
Density functional theory data (PBE-GGA) for In2Ge2O7 after structural relaxation.

The structure in POSCAR format:
```
In2Ge2O7
1.0
2.958 -5.638 2.892
-2.868 -6.312 -0.916
3.188 -4.737 -4.039
O In Ge
14 4 4
direct
0.954 0.546 0.546
0.704 0.296 0.296
0.546 0.546 0.954
0.954 0.546 0.954
0.296 0.704 0.704
0.296 0.704 0.296
0.296 0.296 0.704
0.704 0.704 0.296
0.954 0.954 0.546
0.000 0.000 0.000
0.704 0.296 0.704
0.546 0.954 0.546
0.546 0.954 0.954
0.250 0.250 0.250
0.625 0.125 0.125
0.125 0.125 0.625
0.125 0.125 0.125
0.125 0.625 0.125
0.625 0.125 0.625
0.125 0.625 0.625
0.625 0.625 0.125
0.625 0.625 0.625
```

Which is the most stable structure? one is the most stable.

## one
Density functional theory data (PBE-GGA) for La2GeS5 after structural relaxation.

The structure in POSCAR format:
```
La2GeS5
1.0
12.815 0.000 0.000
0.000 7.715 0.000
0.000 1.563 7.814
La S Ge
8 20 4
direct
0.407 0.762 0.542
0.907 0.238 0.958
0.834 0.840 0.635
0.666 0.840 0.135
0.166 0.160 0.365
0.593 0.238 0.458
0.334 0.160 0.865
0.093 0.762 0.042
0.474 0.830 0.881
0.026 0.830 0.381
0.766 0.536 0.453
0.621 0.862 0.499
0.507 0.579 0.284
0.706 0.128 0.803
0.526 0.170 0.119
0.379 0.138 0.501
0.794 0.128 0.303
0.121 0.138 0.001
0.294 0.872 0.197
0.266 0.464 0.047
0.206 0.872 0.697
0.007 0.421 0.216
0.493 0.421 0.716
0.734 0.536 0.953
0.234 0.464 0.547
0.993 0.579 0.784
0.879 0.862 0.999
0.974 0.170 0.619
0.883 0.338 0.409
0.617 0.338 0.909
0.117 0.662 0.591
0.383 0.662 0.091
```

## two
Density functional theory data (PBE-GGA) for La2GeS5 after structural relaxation.

The structure in POSCAR format:
```
La2GeS5
1.0
0.000 -7.324 0.000
-9.704 0.000 0.314
-1.977 0.000 -11.096
La Ge S
8 4 20
direct
0.440 0.495 0.328
0.560 0.505 0.672
0.395 0.742 0.990
0.940 0.505 0.172
0.895 0.258 0.510
0.605 0.258 0.010
0.105 0.742 0.490
0.060 0.495 0.828
0.092 0.112 0.210
0.592 0.888 0.290
0.408 0.112 0.710
0.908 0.888 0.790
0.718 0.534 0.949
0.664 0.729 0.174
0.282 0.466 0.051
0.383 0.015 0.156
0.984 0.184 0.033
0.617 0.985 0.844
0.164 0.271 0.326
0.176 0.699 0.248
0.218 0.466 0.551
0.336 0.271 0.826
0.883 0.985 0.344
0.324 0.699 0.748
0.676 0.301 0.252
0.516 0.184 0.533
0.016 0.816 0.967
0.824 0.301 0.752
0.484 0.816 0.467
0.117 0.015 0.656
0.836 0.729 0.674
0.782 0.534 0.449
```

Which is the most stable structure? one is the most stable.